Entry 1:
The following is a DFT calculation (PBE with a Hubbard U) of a relaxed MgCr2Cl4O4 crystal.

Lattice parameters (Å, degrees): 6.076 6.500 7.127 77.63 87.99 88.62
Space group P1 (No. 1)
One atom of each set of equivalent atoms:
Mg 0.000 0.000 0.000 [1 per cell]
Cr 0.099 0.525 0.873 [1 per cell]
Cr 0.571 0.834 0.302 [1 per cell]
Cl 0.409 0.969 0.021 [1 per cell]
Cl 0.477 0.061 0.475 [1 per cell]
Cl 0.958 0.297 0.712 [1 per cell]
Cl 0.997 0.326 0.155 [1 per cell]
O 0.360 0.513 0.857 [1 per cell]
O 0.468 0.609 0.391 [1 per cell]
O 0.837 0.850 0.233 [1 per cell]
O 0.980 0.761 0.862 [1 per cell]

Computed properties:
* energy above the lowest structure with this stoichiometry: 0 meV/atom
* crystal system: triclinic
* MP2020-corrected energy: -63.311 eV per formula unit
* E_tot: -0.1890 Ha/atom
* DFT formation energy: -1383.5 meV/atom
* size of the total moment: 0.182 μB/atom

***

Entry 2:
The following is a DFT calculation (PBE with a Hubbard U) of a relaxed Mn3O2F4 crystal.

Lattice parameters (Å, degrees): 4.821 5.790 7.966 86.41 89.67 88.71
Space group P-1 (No. 2)
One atom of each set of equivalent atoms:
Mn 0.000 0.000 0.000 [1 per cell]
Mn 0.005 0.335 0.650 [2 per cell]
Mn 0.459 0.177 0.324 [2 per cell]
Mn 0.500 0.500 0.000 [1 per cell]
O 0.184 0.374 0.429 [2 per cell]
O 0.316 0.222 0.096 [2 per cell]
F 0.197 0.709 0.125 [2 per cell]
F 0.203 0.036 0.751 [2 per cell]
F 0.296 0.527 0.783 [2 per cell]
F 0.323 0.861 0.450 [2 per cell]

Computed properties:
* energy above the lowest structure with this stoichiometry: 23 meV/atom
* crystal system: triclinic
* MP2020-corrected energy: -67.708 eV per formula unit
* E_tot: -0.2429 Ha/atom
* DFT formation energy: -2518.6 meV/atom
* size of the total moment: 1.445 μB/atom

***

What is the E_tot in the first record?
-0.1890 Ha/atom

***

Among the records above, which one has the highest size of the total moment?
Mn3O2F4